MgScMo3O8 after structural relaxation. Source: the Materials Project, functional PBE with a Hubbard U.

CIF file:
```
data_MgScMo3O8
_symmetry_space_group_name_H-M 'P 1'
_symmetry_Int_Tables_number 1
_symmetry_space_group_name_Hall 'P 1'
_cell_length_a 6.291
_cell_length_b 6.111
_cell_length_c 4.964
_cell_angle_alpha 89.34
_cell_angle_beta 90.66
_cell_angle_gamma 118.90
loop_
_atom_site_label
_atom_site_type_symbol
_atom_site_fract_x
_atom_site_fract_y
_atom_site_fract_z
Mg1 Mg 0.669 0.333 0.683
Sc1 Sc 0.333 0.665 0.756
Mo1 Mo 0.833 0.685 0.241
Mo2 Mo 0.836 0.156 0.242
Mo3 Mo 0.324 0.161 0.234
O1 O 0.502 0.013 0.495
O2 O 0.669 0.342 0.053
O3 O 0.654 0.818 0.000
O4 O 0.173 0.841 0.024
O5 O 0.979 0.494 0.491
O6 O 0.010 0.992 0.461
O7 O 0.175 0.334 0.020
O8 O 0.501 0.488 0.491
```

Summary:
- space group = P1, No. 1
- formation enthalpy at 0 K (eV per atom) = -2.332
- E above lowest polymorph (eV/atom) = 0.071